VASP calculation (PBE with a Hubbard U) on an optimized crystal structure of Li4Cr5SbO12.

The structure in CIF format:
```
data_Li4Cr5SbO12
_cell_length_a 5.240
_cell_length_b 21.035
_cell_length_c 5.242
_cell_angle_alpha 93.99
_cell_angle_beta 119.99
_cell_angle_gamma 81.99
_symmetry_space_group_name_H-M 'P 1'
_symmetry_Int_Tables_number 1
_symmetry_space_group_name_Hall 'P 1'
loop_
_atom_site_label
_atom_site_type_symbol
_atom_site_fract_x
_atom_site_fract_y
_atom_site_fract_z
Li1 Li 0.109 0.354 0.663
Li2 Li 0.109 0.854 0.663
Li3 Li 0.554 0.146 0.663
Li4 Li 0.554 0.646 0.663
Li5 Li 0.446 0.354 0.336
Li6 Li 0.446 0.854 0.337
Li7 Li 0.890 0.146 0.337
Li8 Li 0.890 0.646 0.336
Cr1 Cr 0.838 0.250 0.676
Cr2 Cr 0.838 0.750 0.676
Cr3 Cr 0.335 0.000 0.669
Cr4 Cr 0.335 0.500 0.669
Cr5 Cr 0.665 0.000 0.330
Cr6 Cr 0.500 0.250 0.999
Cr7 Cr 0.500 0.750 0.999
Cr8 Cr 0.163 0.250 0.325
Cr9 Cr 0.163 0.750 0.325
Cr10 Cr 0.665 0.500 0.330
Sb1 Sb 0.000 0.000 0.000
Sb2 Sb 0.000 0.500 0.000
O1 O 0.150 0.302 0.001
O2 O 0.150 0.802 0.001
O3 O 0.851 0.198 0.001
O4 O 0.851 0.698 0.001
O5 O 0.304 0.048 0.000
O6 O 0.304 0.548 0.000
O7 O 0.696 0.452 0.000
O8 O 0.695 0.952 0.000
O9 O 0.973 0.050 0.333
O10 O 0.973 0.550 0.332
O11 O 0.360 0.450 0.332
O12 O 0.360 0.950 0.333
O13 O 0.640 0.050 0.667
O14 O 0.640 0.550 0.667
O15 O 0.027 0.450 0.667
O16 O 0.027 0.950 0.667
O17 O 0.196 0.198 0.655
O18 O 0.196 0.698 0.655
O19 O 0.459 0.302 0.655
O20 O 0.459 0.802 0.655
O21 O 0.540 0.199 0.345
O22 O 0.540 0.699 0.345
O23 O 0.805 0.301 0.345
O24 O 0.805 0.801 0.345
```

Values from the calculation:
calculated formation energy = -220.6 kJ/mol of atoms
VASP energy = -302.92 eV per cell